1.
VASP calculation (PBE with a Hubbard U) on crystalline K2W3O10 at its relaxed geometry.

Lattice parameters (Å, degrees): 3.8883 11.2937 33.2006 70.71 90.00 90.00
Last column: nearest neighbours and their distance in Å.
Sites, in units of the cell vectors:
1 K 0.5160 0.3642 0.0475  4 O 2.73-2.88
2 K 0.5051 0.7143 0.6520  7 O 2.83-3.12
3 K 0.5357 0.1132 0.1524  4 O 2.75-3.07
4 K 0.5357 0.8868 0.3476  4 O 2.75-3.07
5 K 0.5051 0.2857 0.8480  7 O 2.83-3.12
6 K 0.5160 0.6358 0.4525  4 O 2.73-2.88
7 K 0.4840 0.3642 0.5475  4 O 2.73-2.88
8 K 0.4949 0.7143 0.1520  7 O 2.83-3.12
9 K 0.4643 0.1132 0.6524  4 O 2.75-3.07
10 K 0.4643 0.8868 0.8476  4 O 2.75-3.07
11 K 0.4949 0.2857 0.3480  7 O 2.83-3.12
12 K 0.4840 0.6358 0.9525  4 O 2.73-2.88
13 W 0.9669 0.5980 0.8489  4 O 1.81-2.01
14 W 0.0373 0.9939 0.4486  3 O 1.78-1.89
15 W 0.0349 0.1527 0.2643  4 O 1.79-1.95
16 W 0.0307 0.7069 0.5543  4 O 1.80-2.01
17 W 0.0293 0.5000 0.7500  6 O 1.86-2.03
18 W 0.0307 0.2931 0.9457  4 O 1.80-2.01
19 W 0.9669 0.4020 0.6511  4 O 1.81-2.01
20 W 0.0349 0.8473 0.2357  4 O 1.79-1.95
21 W 0.0373 0.0061 0.0514  3 O 1.78-1.89
22 W 0.9627 0.9939 0.9486  3 O 1.78-1.89
23 W 0.9651 0.1527 0.7643  4 O 1.79-1.95
24 W 0.0331 0.5980 0.3489  4 O 1.81-2.01
25 W 0.9693 0.7069 0.0543  4 O 1.80-2.01
26 W 0.9707 0.5000 0.2500  6 O 1.86-2.03
27 W 0.9693 0.2931 0.4457  4 O 1.80-2.01
28 W 0.9651 0.8473 0.7357  4 O 1.79-1.95
29 W 0.9627 0.0061 0.5514  3 O 1.78-1.89
30 W 0.0331 0.4020 0.1511  4 O 1.81-2.01
31 O 0.9965 0.8393 0.5895  1 W 1.89
32 O 0.4822 0.5845 0.8486  2 W 1.89-2.01
33 O 0.0113 0.3353 0.1084  1 W 1.81
34 O 0.9939 0.6820 0.7296  2 W 1.95
35 O 0.0148 0.2500 0.1971  1 W 1.88
36 O 0.0026 0.8796 0.5091  2 W 2.00-2.03
37 O 0.5194 0.9950 0.4529  2 W 1.88-2.02
38 O 0.5207 0.1579 0.2594  2 W 1.89-2.01
39 O 0.0205 0.0743 0.3207  1 W 1.79
40 O 0.0142 0.3820 0.9818  1 W 1.80
41 O 0.9942 0.4956 0.8079  2 W 1.91-2.06
42 O 0.9998 0.4189 0.8922  2 W 1.88-2.06
43 O 0.5141 0.7180 0.5560  2 W 1.89-2.01
44 O 0.0180 0.8928 0.4174  1 W 1.78
45 O 0.5067 0.5000 0.7500  2 W 1.86-2.03
46 O 0.0108 0.0000 0.2500  2 W 1.94
47 O 0.5141 0.2820 0.9440  2 W 1.89-2.01
48 O 0.9998 0.5811 0.6078  2 W 1.88-2.06
49 O 0.9942 0.5044 0.6921  2 W 1.91-2.06
50 O 0.0180 0.1072 0.0826  1 W 1.78
51 O 0.0142 0.6180 0.5182  1 W 1.80
52 O 0.0026 0.1204 0.9909  2 W 2.00-2.03
53 O 0.9939 0.3180 0.7704  2 W 1.95
54 O 0.4822 0.4155 0.6514  2 W 1.89-2.01
55 O 0.0205 0.9257 0.1793  1 W 1.79
56 O 0.5207 0.8421 0.2406  2 W 1.89-2.01
57 O 0.9965 0.1607 0.9105  1 W 1.89
58 O 0.5194 0.0050 0.0471  2 W 1.88-2.02
59 O 0.0148 0.7500 0.3029  1 W 1.88
60 O 0.0113 0.6647 0.3916  1 W 1.81
61 O 0.9887 0.3353 0.6084  1 W 1.81
62 O 0.9852 0.2500 0.6971  1 W 1.88
63 O 0.4806 0.9950 0.9529  2 W 1.88-2.02
64 O 0.0035 0.8393 0.0895  1 W 1.89
65 O 0.4793 0.1579 0.7594  2 W 1.89-2.01
66 O 0.9795 0.0743 0.8207  1 W 1.79
67 O 0.5178 0.5845 0.3486  2 W 1.89-2.01
68 O 0.0061 0.6820 0.2296  2 W 1.95
69 O 0.9974 0.8796 0.0091  2 W 2.00-2.03
70 O 0.9858 0.3820 0.4818  1 W 1.80
71 O 0.9820 0.8928 0.9174  1 W 1.78
72 O 0.0058 0.4956 0.3079  2 W 1.91-2.06
73 O 0.0002 0.4189 0.3922  2 W 1.88-2.06
74 O 0.4859 0.7180 0.0560  2 W 1.89-2.01
75 O 0.9892 0.0000 0.7500  2 W 1.94
76 O 0.4933 0.5000 0.2500  2 W 1.86-2.03
77 O 0.9820 0.1072 0.5826  1 W 1.78
78 O 0.4859 0.2820 0.4440  2 W 1.89-2.01
79 O 0.0002 0.5811 0.1078  2 W 1.88-2.06
80 O 0.0058 0.5044 0.1921  2 W 1.91-2.06
81 O 0.9858 0.6180 0.0182  1 W 1.80
82 O 0.9795 0.9257 0.6793  1 W 1.79
83 O 0.4793 0.8421 0.7406  2 W 1.89-2.01
84 O 0.4806 0.0050 0.5471  2 W 1.88-2.02
85 O 0.9974 0.1204 0.4909  2 W 2.00-2.03
86 O 0.9852 0.7500 0.8029  1 W 1.88
87 O 0.0061 0.3180 0.2704  2 W 1.95
88 O 0.9887 0.6647 0.8916  1 W 1.81
89 O 0.5178 0.4155 0.1514  2 W 1.89-2.01
90 O 0.0035 0.1607 0.4105  1 W 1.89

Calculated total energy (eV per cell): -625.83

2.
VASP calculation (PBE with a Hubbard U) on crystalline K2WO4 at its relaxed geometry.

Lattice parameters (Å, degrees): 8.2406 6.3551 12.1773 63.99 90.00 90.00
Last column: nearest neighbours and their distance in Å.
Sites, in units of the cell vectors:
1 K 0.2516 0.7839 0.9072  4 O 2.70-2.97
2 K 0.5110 0.5228 0.7289  6 O 2.76-3.01
3 K 0.2484 0.7839 0.4072  4 O 2.70-2.97
4 K 0.0110 0.4772 0.7711  6 O 2.76-3.01
5 K 0.9890 0.5228 0.2289  6 O 2.76-3.01
6 K 0.7516 0.2161 0.5928  4 O 2.70-2.97
7 K 0.4890 0.4772 0.2711  6 O 2.76-3.01
8 K 0.7484 0.2161 0.0928  4 O 2.70-2.97
9 W 0.7331 0.8693 0.9312  4 O 1.81-1.83
10 W 0.7669 0.8693 0.4312  4 O 1.81-1.83
11 W 0.2331 0.1307 0.5688  4 O 1.81-1.83
12 W 0.2669 0.1307 0.0688  4 O 1.81-1.83
13 O 0.9235 0.7453 0.9143  1 W 1.81
14 O 0.5718 0.7646 0.8669  1 W 1.81
15 O 0.8002 0.7749 0.5941  1 W 1.82
16 O 0.2437 0.8101 0.6451  1 W 1.83
17 O 0.5765 0.7453 0.4143  1 W 1.81
18 O 0.9282 0.7646 0.3669  1 W 1.81
19 O 0.7437 0.1899 0.8549  1 W 1.83
20 O 0.3002 0.2251 0.9059  1 W 1.82
21 O 0.6998 0.7749 0.0941  1 W 1.82
22 O 0.2563 0.8101 0.1451  1 W 1.83
23 O 0.0718 0.2354 0.6331  1 W 1.81
24 O 0.4235 0.2547 0.5857  1 W 1.81
25 O 0.7563 0.1899 0.3549  1 W 1.83
26 O 0.1998 0.2251 0.4059  1 W 1.82
27 O 0.4282 0.2354 0.1331  1 W 1.81
28 O 0.0765 0.2547 0.0857  1 W 1.81

Energy above the most stable polymorph in this dataset (kJ/mol of atoms): 1.2

3.
VASP calculation (PBE with a Hubbard U) on crystalline KW5O13 at its relaxed geometry.

Lattice parameters (Å, degrees): 7.4996 7.5083 39.2143 90.17 90.06 119.84
Last column: nearest neighbours and their distance in Å.
Sites, in units of the cell vectors:
1 K 0.0000 0.9953 0.1889  6 O 3.14-3.44
2 K 0.9996 0.9997 0.3138  6 O 3.04-3.13
3 K 0.9985 0.9964 0.5826  6 O 2.97-3.31
4 K 0.0001 0.9987 0.6979  12 O 3.27-3.43
5 K 0.0003 0.0007 0.8041  12 O 3.23-3.46
6 K 0.9995 0.9999 0.9163  6 O 2.97-3.06
7 W 0.9973 0.4987 0.1366  4 O 2.00-2.05
8 W 0.9997 0.5014 0.3455  4 O 1.90-2.01
9 W 0.9973 0.4960 0.5368  4 O 1.88-2.03
10 W 0.9996 0.5001 0.7530  4 O 1.90-2.00
11 W 0.9997 0.5012 0.9449  4 O 1.90-2.00
12 W 0.4961 0.0049 0.0508  6 O 1.89-2.01
13 W 0.5005 0.9997 0.2515  5 O 1.87-1.96
14 W 0.4963 0.0050 0.4508  6 O 1.86-2.02
15 W 0.5002 0.9992 0.6509  6 O 1.94-2.07
16 W 0.4998 0.0011 0.8507  6 O 1.90-1.99
17 W 0.5008 0.9952 0.1502  6 O 1.87-1.99
18 W 0.5001 0.0009 0.3506  6 O 1.93-2.07
19 W 0.4986 0.9961 0.5501  6 O 1.89-2.09
20 W 0.5000 0.9989 0.7508  6 O 1.92-1.97
21 W 0.5001 0.0008 0.9502  6 O 1.94-2.06
22 W 0.4962 0.4935 0.1528  5 O 1.80-1.94
23 W 0.4992 0.5003 0.3472  5 O 1.83-1.95
24 W 0.4979 0.4961 0.5548  5 O 1.80-1.91
25 W 0.4991 0.4985 0.7514  6 O 1.92-2.02
26 W 0.4994 0.5004 0.9463  6 O 1.88-2.06
27 W 0.5055 0.5095 0.0449  5 O 1.81-1.96
28 W 0.5013 0.5000 0.2505  6 O 1.93-2.04
29 W 0.5058 0.5100 0.4460  5 O 1.78-1.97
30 W 0.5008 0.4997 0.6536  5 O 1.82-1.95
31 W 0.5012 0.5017 0.8489  6 O 1.87-1.97
32 W 0.0021 0.4992 0.0623  4 O 1.89-2.06
33 W 0.0009 0.4988 0.2543  4 O 1.90-2.02
34 W 0.0022 0.4999 0.4621  4 O 1.89-2.05
35 W 0.0006 0.4989 0.6505  4 O 1.89-2.00
36 W 0.0006 0.4998 0.8510  4 O 1.92-2.00
37 O 0.2117 0.7892 0.1472  2 W 1.94-2.00
38 O 0.2031 0.7843 0.3484  2 W 1.90-2.00
39 O 0.1883 0.7703 0.5481  2 W 1.88-2.09
40 O 0.2129 0.7975 0.7504  2 W 1.92-2.00
41 O 0.2019 0.7831 0.9475  2 W 1.90-2.01
42 O 0.2060 0.7775 0.0533  2 W 1.91-1.99
43 O 0.2173 0.7970 0.2493  2 W 1.90-2.02
44 O 0.2068 0.7783 0.4540  2 W 1.91-1.99
45 O 0.2014 0.7812 0.6511  2 W 1.89-2.01
46 O 0.2139 0.7971 0.8494  2 W 1.92-2.00
47 O 0.2394 0.4386 0.0606  2 W 1.90-2.05
48 O 0.2029 0.4171 0.2503  2 W 1.90-2.00
49 O 0.2384 0.4394 0.4614  2 W 1.90-2.04
50 O 0.2157 0.4159 0.6499  2 W 1.91-2.00
51 O 0.2081 0.4209 0.8499  2 W 1.92-1.97
52 O 0.4978 0.9993 0.0994  2 W 1.91-1.99
53 O 0.5003 0.0011 0.2993  2 W 1.87-2.01
54 O 0.4977 0.9995 0.5008  2 W 1.93-1.96
55 O 0.5019 0.9964 0.1979  1 W 1.87
56 O 0.4999 0.0002 0.7011  2 W 1.95-1.97
57 O 0.4985 0.0036 0.4035  2 W 1.86-2.07
58 O 0.5002 0.9952 0.5982  2 W 1.89-2.07
59 O 0.5010 0.0013 0.8990  2 W 1.90-2.01
60 O 0.4995 0.9995 0.7998  2 W 1.92-1.99
61 O 0.2275 0.4276 0.1404  2 W 1.88-2.05
62 O 0.2166 0.4206 0.3493  2 W 1.90-2.00
63 O 0.2288 0.4304 0.5411  2 W 1.90-2.03
64 O 0.2002 0.4162 0.7509  2 W 1.90-2.01
65 O 0.2164 0.4195 0.9463  2 W 1.89-2.00
66 O 0.5767 0.7812 0.1479  2 W 1.94-1.96
67 O 0.5734 0.7884 0.3508  2 W 1.93-1.95
68 O 0.5858 0.7797 0.5486  2 W 1.91-2.03
69 O 0.5782 0.7858 0.7502  2 W 1.93-1.96
70 O 0.5746 0.7881 0.9497  2 W 1.94-1.95
71 O 0.5770 0.7897 0.0503  2 W 1.91-1.99
72 O 0.5776 0.7859 0.2488  2 W 1.93-1.96
73 O 0.5771 0.7915 0.4516  2 W 1.92-1.98
74 O 0.5765 0.7872 0.6503  2 W 1.94
75 O 0.5787 0.7878 0.8495  2 W 1.93-1.96
76 O 0.4991 0.5003 0.9988  1 W 1.81
77 O 0.5065 0.5031 0.1986  1 W 1.80
78 O 0.4985 0.4991 0.3004  2 W 1.83-1.96
79 O 0.5052 0.5030 0.6008  1 W 1.80
80 O 0.4980 0.4972 0.7001  2 W 1.82-2.02
81 O 0.4994 0.5012 0.4007  1 W 1.78
82 O 0.5009 0.5006 0.8013  2 W 1.87-1.96
83 O 0.5001 0.5016 0.8984  2 W 1.88-1.94
84 O 0.4184 0.2095 0.1492  2 W 1.91-1.99
85 O 0.4254 0.2133 0.3505  2 W 1.94
86 O 0.4096 0.2116 0.5500  2 W 1.90-2.03
87 O 0.4206 0.2124 0.7504  2 W 1.92-1.97
88 O 0.4246 0.2137 0.9492  2 W 1.94
89 O 0.4274 0.2205 0.0514  2 W 1.93-1.96
90 O 0.4242 0.2131 0.2481  2 W 1.93-1.96
91 O 0.4287 0.2206 0.4526  2 W 1.92-1.97
92 O 0.4255 0.2117 0.6495  2 W 1.94-1.95
93 O 0.4222 0.2139 0.8494  2 W 1.94-1.95
94 O 0.7990 0.5811 0.2513  2 W 1.90-2.00
95 O 0.7694 0.5685 0.0590  2 W 1.88-2.06
96 O 0.7712 0.5700 0.4600  2 W 1.89-2.05
97 O 0.7861 0.5827 0.6509  2 W 1.91-2.00
98 O 0.7931 0.5793 0.8503  2 W 1.92-1.97
99 O 0.4978 0.0031 0.0026  2 W 1.89-2.06
100 O 0.7634 0.5637 0.1383  2 W 1.89-2.04
101 O 0.7824 0.5819 0.3494  2 W 1.90-2.01
102 O 0.7636 0.5588 0.5394  2 W 1.90-2.03
103 O 0.7987 0.5836 0.7510  2 W 1.90-2.01
104 O 0.7828 0.5825 0.9465  2 W 1.90-2.00
105 O 0.7859 0.2059 0.1470  2 W 1.93-2.01
106 O 0.7963 0.2187 0.3489  2 W 1.90-2.00
107 O 0.8076 0.2222 0.5483  2 W 1.88-2.08
108 O 0.7862 0.2023 0.7508  2 W 1.92-2.00
109 O 0.7977 0.2196 0.9481  2 W 1.90-2.01
110 O 0.7940 0.2245 0.0540  2 W 1.89-2.01
111 O 0.7840 0.2009 0.2495  2 W 1.90-2.02
112 O 0.7939 0.2252 0.4548  2 W 1.89-2.02
113 O 0.7996 0.2169 0.6515  2 W 1.89-2.02
114 O 0.7867 0.2028 0.8495  2 W 1.92-2.00

Calculated total energy (eV per cell): -822.97

- Which formula does entry 3 have?
  KW5O13